Entry 1:
Density functional theory data (GGA-PBE) for TiNb3S6 after structural relaxation.

Output
V ... 18.313 A^3/atom
Energy relative to the elements ... -1.54 eV/atom

```
20
Lattice="1.897 3.783 -3.971 -5.225 -2.456 -0.594 -5.166 9.417 6.504" Properties=species:S:1:pos:R:3 pbc="T T T"
Ti -4.142 1.978 -0.094
Ti -4.351 8.766 2.033
Nb -2.583 4.708 3.252
Nb 0.000 0.000 0.000
Nb -8.007 9.022 4.771
Nb -0.487 1.722 -2.833
Nb -3.050 6.394 0.394
Nb -5.444 4.351 1.545
S -3.046 3.953 0.913
S -5.880 3.586 -0.808
S -5.416 1.885 2.024
S -4.337 6.349 2.550
S -4.822 8.039 -0.283
S -1.981 8.421 1.421
S -6.724 9.118 2.633
S -3.890 9.485 4.353
S -4.354 11.186 1.522
S -2.881 2.070 -2.218
S -2.395 0.379 0.615
S -5.237 -0.003 -1.089
```

---

Entry 2:
Density functional theory data (GGA-PBE) for Nb2Tl4S11 after structural relaxation.

Output
V ... 28.265 A^3/atom
Energy relative to the elements ... -0.87 eV/atom

```
34
Lattice="7.115 3.967 -0.447 -1.076 -0.731 -9.104 -5.901 11.489 3.935" Properties=species:S:1:pos:R:3 pbc="T T T"
Nb -1.623 3.550 -4.670
Nb 1.760 11.175 -0.945
Nb 0.289 2.851 -7.481
Nb -0.152 11.874 1.866
Tl -2.415 7.211 -3.070
Tl 2.553 7.514 -2.545
Tl -2.487 11.659 -3.436
Tl 2.625 3.066 -2.179
Tl -1.913 7.434 1.871
Tl 2.051 7.291 -7.487
Tl -5.673 11.222 1.620
Tl 5.810 3.503 -7.235
S -3.406 5.947 -0.529
S 3.543 8.778 -5.086
S 0.453 9.514 0.453
S -0.316 5.211 -6.069
S -1.522 2.777 -2.331
S 1.660 11.948 -3.284
S -4.621 9.348 -1.499
S 4.758 5.377 -4.116
S 0.072 5.193 -4.025
S 0.066 9.532 -1.590
S 0.464 5.155 -0.021
S -0.326 9.570 -5.595
S -0.504 13.835 3.040
S 0.641 0.890 -8.655
S 2.241 2.904 -5.992
S -2.103 11.821 0.377
S -0.469 12.786 -0.448
S 0.606 1.939 -5.168
S 2.254 12.291 1.269
S -2.116 2.434 -6.884
S 2.544 5.189 0.110
S -2.407 9.536 -5.726
```

---

Entry 3:
Density functional theory data (GGA-PBE) for Nb6TlS8 after structural relaxation.

Output
V ... 18.637 A^3/atom
Energy relative to the elements ... -1.30 eV/atom

```
15
Lattice="-6.371 2.284 7.019 -2.639 0.610 -9.366 -1.059 -3.225 0.088" Properties=species:S:1:pos:R:3 pbc="T T T"
Nb -0.838 0.226 -1.799
Nb -3.694 1.002 -7.716
Nb -7.116 2.277 -2.199
Nb -3.555 -0.677 -2.081
Nb -3.383 -0.828 -5.518
Nb -6.299 0.172 -3.981
Tl -5.127 1.726 1.557
S -2.753 0.895 -0.340
S -7.892 2.601 0.329
S -4.735 1.683 4.682
S -1.635 -1.348 -3.549
S -5.566 -0.139 -6.545
S -6.037 0.154 -1.487
S -3.883 1.168 -3.905
S -0.530 -1.613 0.044
```

---

Entry 4:
Density functional theory data (GGA-PBE) for Nb4VS8 after structural relaxation.

Output
V ... 18.283 A^3/atom
Energy relative to the elements ... -1.45 eV/atom

```
26
Lattice="3.344 -5.792 0.000 3.344 5.792 0.000 0.000 0.000 12.272" Properties=species:S:1:pos:R:3 pbc="T T T"
Nb 0.000 0.000 3.068
Nb 0.000 0.000 9.204
Nb 3.344 -0.050 3.068
Nb 1.716 -2.871 3.068
Nb 4.972 -2.871 3.068
Nb 3.344 0.050 9.204
Nb 4.972 2.871 9.204
Nb 1.716 2.871 9.204
V 0.000 0.000 6.136
V 0.000 0.000 0.000
S 3.344 1.931 10.791
S 3.344 -1.931 1.480
S 3.344 -1.931 4.655
S 3.344 1.931 7.616
S 3.344 3.871 4.648
S 1.664 0.961 4.648
S 5.024 0.961 4.648
S 3.344 -3.871 7.623
S 5.024 -0.961 7.623
S 1.664 -0.961 7.623
S 3.344 -3.871 10.784
S 5.024 -0.961 10.784
S 1.664 -0.961 10.784
S 3.344 3.871 1.487
S 1.664 0.961 1.487
S 5.024 0.961 1.487
```

---

Entry 5:
Density functional theory data (GGA-PBE) for Nb3VS6 after structural relaxation.

Output
V ... 17.897 A^3/atom
Energy relative to the elements ... -1.46 eV/atom

```
20
Lattice="2.907 -5.034 0.000 2.907 5.034 0.000 0.000 0.000 12.230" Properties=species:S:1:pos:R:3 pbc="T T T"
Nb 2.907 1.678 6.144
Nb 2.907 -1.678 0.029
Nb 2.907 -1.678 6.086
Nb 2.907 1.678 12.201
Nb 0.000 0.000 6.115
Nb 0.000 0.000 0.000
V 2.907 -1.678 9.173
V 2.907 1.678 3.058
S 3.877 0.017 4.538
S 3.860 3.349 4.538
S 0.983 1.668 4.538
S 4.830 -1.668 10.653
S 0.983 -1.668 7.692
S 1.936 -0.017 10.653
S 1.953 -3.349 10.653
S 1.936 0.017 1.577
S 4.830 1.668 1.577
S 3.877 -0.017 7.692
S 3.860 -3.349 7.692
S 1.953 3.349 1.577
```

---

Entry 6:
Density functional theory data (GGA-PBE) for Nb5V3S20 after structural relaxation.

Output
V ... 20.124 A^3/atom
Energy relative to the elements ... -1.18 eV/atom

```
28
Lattice="-6.757 3.496 6.012 -6.155 -3.186 6.781 2.944 1.401 9.871" Properties=species:S:1:pos:R:3 pbc="T T T"
Nb -4.837 -0.297 16.199
Nb -5.141 3.082 15.810
Nb -1.712 0.245 3.464
Nb -8.174 0.400 9.874
Nb -8.590 1.071 16.029
V -2.080 0.928 9.692
V -4.854 2.248 9.608
V -4.575 -0.845 9.964
S -9.575 1.672 22.017
S -3.141 1.515 15.624
S -3.728 1.789 3.646
S -3.427 -1.550 4.030
S -2.745 -0.602 11.407
S -3.039 2.664 11.031
S -3.868 0.600 8.236
S -10.442 0.745 14.645
S 1.938 1.066 7.748
S -4.548 1.220 14.160
S -8.491 -1.103 11.908
S -8.792 2.244 11.523
S -6.710 -1.304 8.715
S -7.010 2.030 8.331
S 0.131 1.272 10.949
S -6.283 1.432 17.356
S -7.126 -0.657 15.015
S -7.433 2.756 14.622
S 0.605 0.580 4.565
S -5.909 0.747 11.110
```

---

Entry 7:
Density functional theory data (GGA-PBE) for Nb3WS8 after structural relaxation.

Output
V ... 20.236 A^3/atom
Energy relative to the elements ... -1.28 eV/atom

```
12
Lattice="-1.659 -2.873 0.000 3.317 0.000 0.000 0.000 -1.915 25.480" Properties=species:S:1:pos:R:3 pbc="T T T"
Nb 1.659 -2.873 0.001
Nb 0.000 -1.915 6.371
Nb 0.000 -3.831 12.741
W 1.659 -2.873 19.112
S 0.000 -3.831 17.581
S 1.659 -2.873 23.895
S 1.659 -2.873 4.785
S 0.000 -1.915 11.158
S 1.659 -0.958 1.586
S 1.659 -2.873 7.959
S 0.000 -1.915 14.329
S 0.000 -3.831 20.645
```

---

Entry 8:
Density functional theory data (GGA-PBE) for NbSb after structural relaxation.

Output
Total moment ... 0.00 μB per formula unit
V ... 21.311 A^3/atom
Energy relative to the elements ... -0.24 eV/atom

```
4
Lattice="-2.281 1.427 -2.343 -0.340 0.709 3.480 4.650 6.129 -0.794" Properties=species:S:1:pos:R:3 pbc="T T T"
Nb 0.000 0.000 0.000
Nb 2.325 3.064 -0.397
Sb 0.175 2.481 1.340
Sb 1.854 5.784 -0.998
```

---

Please write out number 5 again, unchanged.
Density functional theory data (GGA-PBE) for Nb3VS6 after structural relaxation.

Output
V ... 17.897 A^3/atom
Energy relative to the elements ... -1.46 eV/atom

```
20
Lattice="2.907 -5.034 0.000 2.907 5.034 0.000 0.000 0.000 12.230" Properties=species:S:1:pos:R:3 pbc="T T T"
Nb 2.907 1.678 6.144
Nb 2.907 -1.678 0.029
Nb 2.907 -1.678 6.086
Nb 2.907 1.678 12.201
Nb 0.000 0.000 6.115
Nb 0.000 0.000 0.000
V 2.907 -1.678 9.173
V 2.907 1.678 3.058
S 3.877 0.017 4.538
S 3.860 3.349 4.538
S 0.983 1.668 4.538
S 4.830 -1.668 10.653
S 0.983 -1.668 7.692
S 1.936 -0.017 10.653
S 1.953 -3.349 10.653
S 1.936 0.017 1.577
S 4.830 1.668 1.577
S 3.877 -0.017 7.692
S 3.860 -3.349 7.692
S 1.953 3.349 1.577
```

---

Question: Which formula does entry 6 have?
Answer: Nb5V3S20